A relaxed structure of Li9Mn2Co5O16, computed with PBE+U.

Unit cell a=3.0187 b=9.9103 c=9.9798 alpha=77.78 beta=87.73 gamma=87.42
Fractional coordinates of all 32 atoms:
Li (0.0058, 0.2485, 0.1257)
Li (0.5037, 0.7475, 0.1285)
Li (0.4974, 0.2445, 0.3758)
Li (0.0021, 0.7534, 0.3733)
Li (0.9962, 0.2462, 0.6278)
Li (0.5028, 0.7572, 0.6221)
Li (0.4956, 0.2510, 0.8732)
Li (0.9961, 0.7521, 0.8732)
Li (0.9999, 0.0003, 0.4998)
Mn (0.9999, 0.9995, 0.0003)
Mn (0.0000, 0.5015, 0.7494)
Co (0.5006, 0.5006, 0.0033)
Co (0.5098, 0.0009, 0.2606)
Co (0.9999, 0.4987, 0.2504)
Co (0.4995, 0.4994, 0.4965)
Co (0.4900, 0.9993, 0.7394)
O (0.5256, 0.1111, 0.0744)
O (0.9856, 0.6132, 0.0699)
O (0.0290, 0.1144, 0.3076)
O (0.5363, 0.6125, 0.3155)
O (0.5027, 0.1153, 0.5822)
O (0.9867, 0.6164, 0.5648)
O (0.0231, 0.1141, 0.8181)
O (0.5340, 0.6165, 0.8202)
O (0.4653, 0.3865, 0.1845)
O (0.9777, 0.8853, 0.1823)
O (0.0153, 0.3854, 0.4310)
O (0.4967, 0.8846, 0.4174)
O (0.4650, 0.3846, 0.6800)
O (0.9701, 0.8862, 0.6921)
O (0.0128, 0.3849, 0.9341)
O (0.4746, 0.8886, 0.9263)

## Properties
Final energy = -185.0 eV for the cell shown
MP2020-corrected energy = -0.2383 hartree per atom
DFT formation energy = -1.7894 eV per atom
Density = 4.12 g cm⁻³
M_tot = 0.50 μB/atom
ΔE to the lowest computed polymorph = 75 meV/atom